# 1
Compound: La2Ga5Cu3
Source: the Materials Project
Functional: PBE-GGA
Structure: optimized geometry

a = 4.326 Å, b = 4.326 Å, c = 10.228 Å
α = 90.00°, β = 90.00°, γ = 90.00°
Atoms (fractional coordinates):
La1 0.500 0.000 0.747
La2 0.000 0.500 0.253
Ga1 0.000 0.500 0.868
Ga2 0.500 0.000 0.380
Ga3 0.500 0.000 0.132
Ga4 0.000 0.500 0.620
Ga5 0.500 0.500 0.000
Cu1 0.000 0.000 0.500
Cu2 0.000 0.000 0.000
Cu3 0.500 0.500 0.500

- total energy (eV per atom) = -4.217
- symmetry = P-4m2 (115)
- formation energy from the elements (eV per atom) = -0.49

=====

# 2
Compound: Sr2LaGaCu2O7
Source: the Materials Project
Functional: PBE-GGA
Structure: optimized geometry

a = 12.306 Å, b = 12.306 Å, c = 12.306 Å
α = 154.20°, β = 153.56°, γ = 37.27°
Atoms (fractional coordinates):
Sr1 0.174 0.653 0.520
Sr2 0.826 0.346 0.479
Sr3 0.633 0.153 0.479
Sr4 0.367 0.846 0.520
La1 0.000 0.502 0.502
La2 0.500 0.002 0.502
Ga1 0.180 0.221 0.900
Ga2 0.820 0.721 0.041
Cu1 0.076 0.080 0.001
Cu2 0.924 0.926 0.004
Cu3 0.579 0.580 0.004
Cu4 0.421 0.426 0.001
O1 0.875 0.375 0.749
O2 0.125 0.875 0.500
O3 0.820 0.322 0.002
O4 0.180 0.182 0.503
O5 0.821 0.822 0.503
O6 0.179 0.682 0.002
O7 0.315 0.819 0.000
O8 0.685 0.685 0.504
O9 0.319 0.319 0.504
O10 0.681 0.185 0.000
O11 0.627 0.714 0.985
O12 0.373 0.358 0.087
O13 0.230 0.214 0.087
O14 0.770 0.858 0.985

- total moment (μB/cell) = 0.001
- total energy (eV per atom) = -6.279
- symmetry = Ima2 (46)
- formation energy from the elements (eV per atom) = -2.48

=====

# 3
Compound: Li2GaCu3
Source: the Materials Project
Functional: PBE-GGA
Structure: optimized geometry

a = 4.859 Å, b = 4.859 Å, c = 4.859 Å
α = 61.09°, β = 61.09°, γ = 61.09°
Atoms (fractional coordinates):
Li1 0.625 0.625 0.625
Li2 0.375 0.375 0.375
Ga1 0.000 0.000 0.000
Cu1 0.000 0.500 0.000
Cu2 0.500 0.000 0.000
Cu3 0.000 0.000 0.500

- total energy (eV per atom) = -3.358
- symmetry = R-3m (166)
- formation energy from the elements (eV per atom) = -0.17

=====

# 4
Compound: Lu3Ga8Cu3
Source: the Materials Project
Functional: PBE-GGA
Structure: optimized geometry

a = 4.224 Å, b = 8.006 Å, c = 8.006 Å
α = 72.72°, β = 74.70°, γ = 74.70°
Atoms (fractional coordinates):
Lu1 0.000 0.000 0.000
Lu2 0.309 0.691 0.691
Lu3 0.691 0.309 0.309
Ga1 0.131 0.580 0.157
Ga2 0.869 0.420 0.843
Ga3 0.131 0.157 0.580
Ga4 0.869 0.843 0.420
Ga5 0.343 0.289 0.025
Ga6 0.657 0.711 0.975
Ga7 0.343 0.025 0.289
Ga8 0.657 0.975 0.711
Cu1 0.000 0.500 0.500
Cu2 0.500 0.303 0.697
Cu3 0.500 0.697 0.303

- total moment (μB/cell) = 0.000
- total energy (eV per atom) = -4.012
- symmetry = Immm (71)
- formation energy from the elements (eV per atom) = -0.43